(1)
# Ho2S3, relaxed, DFT PBE
# volume: 23.7 Å³/atom
# final energy: -31.92 eV per formula unit
# total energy after the MP2020 corrections: -6.685 eV per atom
data_Ho2S3
_chemical_formula_sum 'Ho12 S18'
_cell_length_a 10.160
_cell_length_b 4.014
_cell_length_c 17.602
_cell_angle_alpha 90.00
_cell_angle_beta 98.61
_cell_angle_gamma 90.00
_symmetry_space_group_name_H-M 'P 1 21/m 1'
_symmetry_Int_Tables_number 11
_symmetry_space_group_name_Hall '-P 2yb'
loop_
_atom_site_label
_atom_site_type_symbol
_atom_site_fract_x
_atom_site_fract_y
_atom_site_fract_z
_atom_site_occupancy
Ho1 Ho 0.013 0.250 0.101 1
Ho2 Ho 0.049 0.750 0.615 1
Ho3 Ho 0.311 0.250 0.480 1
Ho4 Ho 0.312 0.250 0.779 1
Ho5 Ho 0.330 0.750 0.282 1
Ho6 Ho 0.376 0.250 0.070 1
S1 S 0.115 0.750 0.467 1
S2 S 0.133 0.250 0.969 1
S3 S 0.138 0.750 0.782 1
S4 S 0.181 0.250 0.319 1
S5 S 0.210 0.750 0.131 1
S6 S 0.231 0.250 0.627 1
S7 S 0.448 0.250 0.925 1
S8 S 0.451 0.750 0.424 1
S9 S 0.493 0.250 0.232 1

(2)
# PrSm, relaxed, DFT PBE
# volume: 35.5 Å³/atom
# final energy: -9.44 eV per formula unit
data_PrSm
_chemical_formula_sum 'Pr1 Sm1'
_cell_length_a 3.6819
_cell_length_b 3.6819
_cell_length_c 6.0534
_cell_angle_alpha 90.00
_cell_angle_beta 90.00
_cell_angle_gamma 120.00
_symmetry_space_group_name_H-M 'P -6 m 2'
_symmetry_Int_Tables_number 187
_symmetry_space_group_name_Hall 'P -6 2'
loop_
_atom_site_label
_atom_site_type_symbol
_atom_site_fract_x
_atom_site_fract_y
_atom_site_fract_z
_atom_site_occupancy
Pr1 Pr 0.0000 0.0000 0.0000 1
Sm1 Sm 0.6667 0.3333 0.5000 1

(3)
# TiBe2Pt, relaxed, DFT PBE
# volume: 11.7 Å³/atom
# final energy: -23.75 eV per formula unit
data_TiBe2Pt
_chemical_formula_sum 'Ti4 Be8 Pt4'
_cell_length_a 5.727
_cell_length_b 5.727
_cell_length_c 5.727
_cell_angle_alpha 90.00
_cell_angle_beta 90.00
_cell_angle_gamma 90.00
_symmetry_space_group_name_H-M 'F m -3 m'
_symmetry_Int_Tables_number 225
_symmetry_space_group_name_Hall '-F 4 2 3'
loop_
_atom_site_label
_atom_site_type_symbol
_atom_site_fract_x
_atom_site_fract_y
_atom_site_fract_z
_atom_site_occupancy
Ti1 Ti 0.000 0.000 0.000 1
Be1 Be 0.250 0.250 0.250 1
Pt1 Pt 0.000 0.000 0.500 1

(4)
# Mg14CuW, relaxed, DFT PBE
# distance to the lowest polymorph of the same formula: 0 meV/atom
# volume: 20.5 Å³/atom
# final energy: -37.00 eV per formula unit
# total magnetization: 0.00 μB per formula unit
data_Mg14CuW
_chemical_formula_sum 'Mg14 Cu1 W1'
_cell_length_a 6.2176
_cell_length_b 6.2176
_cell_length_c 9.8144
_cell_angle_alpha 90.00
_cell_angle_beta 90.00
_cell_angle_gamma 120.00
_symmetry_space_group_name_H-M 'P -6 m 2'
_symmetry_Int_Tables_number 187
_symmetry_space_group_name_Hall 'P -6 2'
loop_
_atom_site_label
_atom_site_type_symbol
_atom_site_fract_x
_atom_site_fract_y
_atom_site_fract_z
_atom_site_occupancy
Mg1 Mg 0.0000 0.0000 0.2483 1
Mg2 Mg 0.0175 0.5087 0.2486 1
Mg3 Mg 0.3323 0.1662 0.5000 1
Mg4 Mg 0.3363 0.1681 0.0000 1
Cu1 Cu 0.3333 0.6667 0.5000 1
W1 W 0.3333 0.6667 0.0000 1

(5)
# Ba2Bi3, relaxed, DFT PBE
# volume: 40.2 Å³/atom
# final energy: -19.34 eV per formula unit
data_Ba2Bi3
_chemical_formula_sum 'Ba4 Bi6'
_cell_length_a 4.973
_cell_length_b 7.833
_cell_length_c 10.314
_cell_angle_alpha 90.00
_cell_angle_beta 90.00
_cell_angle_gamma 90.00
_symmetry_space_group_name_H-M 'I m m m'
_symmetry_Int_Tables_number 71
_symmetry_space_group_name_Hall '-I 2 2'
loop_
_atom_site_label
_atom_site_type_symbol
_atom_site_fract_x
_atom_site_fract_y
_atom_site_fract_z
_atom_site_occupancy
Ba1 Ba 0.000 0.000 0.220 1
Bi1 Bi 0.000 0.292 0.500 1
Bi2 Bi 0.000 0.500 0.000 1

(6)
# MgPa3, relaxed, DFT PBE
# volume: 24.1 Å³/atom
# final energy: -29.35 eV per formula unit
# total magnetization: 0.03 μB per formula unit
data_MgPa3
_chemical_formula_sum 'Mg2 Pa6'
_cell_length_a 4.584
_cell_length_b 4.584
_cell_length_c 9.169
_cell_angle_alpha 90.00
_cell_angle_beta 90.00
_cell_angle_gamma 90.00
_symmetry_space_group_name_H-M 'I 4/m m m'
_symmetry_Int_Tables_number 139
_symmetry_space_group_name_Hall '-I 4 2'
loop_
_atom_site_label
_atom_site_type_symbol
_atom_site_fract_x
_atom_site_fract_y
_atom_site_fract_z
_atom_site_occupancy
Mg1 Mg 0.000 0.000 0.000 1
Pa1 Pa 0.000 0.000 0.500 1
Pa2 Pa 0.000 0.500 0.250 1

(7)
# Mg6Si5, relaxed, DFT PBE
# distance to the lowest polymorph of the same formula: 0 meV/atom
# volume: 19.3 Å³/atom
# final energy: -36.72 eV per formula unit
# total magnetization: 0.00 μB per formula unit
# total energy after the MP2020 corrections: -3.306 eV per atom
data_Mg6Si5
_chemical_formula_sum 'Mg12 Si10'
_cell_length_a 4.261
_cell_length_b 7.205
_cell_length_c 14.263
_cell_angle_alpha 103.55
_cell_angle_beta 91.10
_cell_angle_gamma 90.90
_symmetry_space_group_name_H-M 'P 1'
_symmetry_Int_Tables_number 1
_symmetry_space_group_name_Hall 'P 1'
loop_
_atom_site_label
_atom_site_type_symbol
_atom_site_fract_x
_atom_site_fract_y
_atom_site_fract_z
_atom_site_occupancy
Mg1 Mg 0.000 0.000 0.000 1
Mg2 Mg 0.003 0.523 0.072 1
Mg3 Mg 0.026 0.230 0.224 1
Mg4 Mg 0.461 0.168 0.677 1
Mg5 Mg 0.477 0.732 0.526 1
Mg6 Mg 0.485 0.884 0.836 1
Mg7 Mg 0.491 0.310 0.924 1
Mg8 Mg 0.520 0.577 0.253 1
Mg9 Mg 0.580 0.012 0.372 1
Mg10 Mg 0.961 0.387 0.566 1
Mg11 Mg 0.975 0.803 0.682 1
Mg12 Mg 0.984 0.540 0.833 1
Si1 Si 0.011 0.852 0.220 1
Si2 Si 0.078 0.814 0.387 1
Si3 Si 0.471 0.561 0.688 1
Si4 Si 0.478 0.363 0.404 1
Si5 Si 0.489 0.701 0.979 1
Si6 Si 0.512 0.254 0.104 1
Si7 Si 0.516 0.923 0.137 1
Si8 Si 0.956 0.005 0.546 1
Si9 Si 0.980 0.502 0.391 1
Si10 Si 0.982 0.133 0.822 1

(8)
# H6PbCI3N, relaxed, DFT PBE
# distance to the lowest polymorph of the same formula: 12 meV/atom
# volume: 21.3 Å³/atom
# final energy: -50.93 eV per formula unit
# total magnetization: 0.00 μB per formula unit
# total energy after the MP2020 corrections: -4.274 eV per atom
data_H6PbCI3N
_chemical_formula_sum 'H24 Pb4 C4 I12 N4'
_cell_length_a 9.013
_cell_length_b 12.741
_cell_length_c 8.920
_cell_angle_alpha 90.00
_cell_angle_beta 90.00
_cell_angle_gamma 90.00
_symmetry_space_group_name_H-M 'P n m a'
_symmetry_Int_Tables_number 62
_symmetry_space_group_name_Hall '-P 2ac 2n'
loop_
_atom_site_label
_atom_site_type_symbol
_atom_site_fract_x
_atom_site_fract_y
_atom_site_fract_z
_atom_site_occupancy
H1 H 0.078 0.185 0.103 1
H2 H 0.089 0.679 0.112 1
H3 H 0.154 0.250 0.960 1
H4 H 0.168 0.750 0.957 1
Pb1 Pb 0.000 0.000 0.500 1
C1 C 0.081 0.750 0.042 1
I1 I 0.022 0.750 0.558 1
I2 I 0.199 0.018 0.803 1
N1 N 0.066 0.250 0.035 1

(9)
# BaCoCu3Se4, relaxed, DFT PBE
# volume: 25.6 Å³/atom
# final energy: -38.87 eV per formula unit
# total magnetization: 3.41 μB per formula unit
# total energy after the MP2020 corrections: -4.529 eV per atom
data_BaCoCu3Se4
_chemical_formula_sum 'Ba2 Co2 Cu6 Se8'
_cell_length_a 8.707
_cell_length_b 8.708
_cell_length_c 6.078
_cell_angle_alpha 90.00
_cell_angle_beta 90.04
_cell_angle_gamma 90.00
_symmetry_space_group_name_H-M 'C 1 m 1'
_symmetry_Int_Tables_number 8
_symmetry_space_group_name_Hall 'C -2y'
loop_
_atom_site_label
_atom_site_type_symbol
_atom_site_fract_x
_atom_site_fract_y
_atom_site_fract_z
_atom_site_occupancy
Ba1 Ba 0.000 0.000 0.000 1
Co1 Co 0.001 0.500 0.500 1
Cu1 Cu 0.000 0.500 0.000 1
Cu2 Cu 0.250 0.250 0.500 1
Se1 Se 0.000 0.282 0.717 1
Se2 Se 0.218 0.500 0.282 1
Se3 Se 0.282 0.000 0.283 1

(10)
# Ce2B8O15, relaxed, DFT PBE
# volume: 8.8 Å³/atom
# final energy: -205.67 eV per formula unit
# total magnetization: 2.00 μB per formula unit
# total energy after the MP2020 corrections: -8.639 eV per atom
data_Ce2B8O15
_chemical_formula_sum 'Ce4 B16 O30'
_cell_length_a 9.214
_cell_length_b 4.244
_cell_length_c 12.572
_cell_angle_alpha 90.00
_cell_angle_beta 116.53
_cell_angle_gamma 90.00
_symmetry_space_group_name_H-M 'P 1 2/c 1'
_symmetry_Int_Tables_number 13
_symmetry_space_group_name_Hall '-P 2yc'
loop_
_atom_site_label
_atom_site_type_symbol
_atom_site_fract_x
_atom_site_fract_y
_atom_site_fract_z
_atom_site_occupancy
Ce1 Ce 0.142 0.236 0.448 1
B1 B 0.107 0.285 0.704 1
B2 B 0.284 0.231 0.234 1
B3 B 0.405 0.283 0.873 1
B4 B 0.414 0.208 0.086 1
O1 O 0.000 0.149 0.750 1
O2 O 0.029 0.240 0.578 1
O3 O 0.141 0.379 0.236 1
O4 O 0.276 0.119 0.764 1
O5 O 0.287 0.275 0.122 1
O6 O 0.339 0.311 0.960 1
O7 O 0.427 0.378 0.339 1
O8 O 0.444 0.128 0.590 1

(11)
# Cr3B4Mo3, relaxed, DFT PBE
# volume: 10.4 Å³/atom
# final energy: -91.16 eV per formula unit
# total magnetization: 0.01 μB per formula unit
data_Cr3B4Mo3
_chemical_formula_sum 'Cr6 B8 Mo6'
_cell_length_a 3.006
_cell_length_b 8.341
_cell_length_c 8.324
_cell_angle_alpha 90.00
_cell_angle_beta 90.00
_cell_angle_gamma 90.00
_symmetry_space_group_name_H-M 'A m m 2'
_symmetry_Int_Tables_number 38
_symmetry_space_group_name_Hall 'A 2 -2'
loop_
_atom_site_label
_atom_site_type_symbol
_atom_site_fract_x
_atom_site_fract_y
_atom_site_fract_z
_atom_site_occupancy
Cr1 Cr 0.000 0.000 0.000 1
Cr2 Cr 0.000 0.168 0.675 1
B1 B 0.500 0.000 0.568 1
B2 B 0.500 0.000 0.786 1
B3 B 0.500 0.115 0.169 1
Mo1 Mo 0.000 0.000 0.348 1
Mo2 Mo 0.500 0.245 0.925 1

(12)
# LaSb12Os4, relaxed, DFT PBE
# volume: 24.7 Å³/atom
# final energy: -102.79 eV per formula unit
data_LaSb12Os4
_chemical_formula_sum 'La2 Sb24 Os8'
_cell_length_a 9.433
_cell_length_b 9.433
_cell_length_c 9.433
_cell_angle_alpha 90.00
_cell_angle_beta 90.00
_cell_angle_gamma 90.00
_symmetry_space_group_name_H-M 'I m -3'
_symmetry_Int_Tables_number 204
_symmetry_space_group_name_Hall '-I 2 2 3'
loop_
_atom_site_label
_atom_site_type_symbol
_atom_site_fract_x
_atom_site_fract_y
_atom_site_fract_z
_atom_site_occupancy
La1 La 0.000 0.000 0.000 1
Sb1 Sb 0.000 0.339 0.157 1
Os1 Os 0.250 0.250 0.250 1